1.
Material: PtN2Cl2
Method: DFT, PBE
State: optimized geometry

Cell: 6.0140 6.1983 7.3240 Å, 114.33 102.71 97.42°
With the nearest neighbours (Å) after each atom.
Positions (direct):
Pt 0.0000 0.0000 0.0000  2 N 1.83
Pt 0.0000 0.5000 0.5000  4 N 1.87-2.01
N 0.0040 0.2564 0.2439  2 Pt 1.83-1.87
N 0.2696 0.7429 0.5152  1 Cl 1.61
N 0.7304 0.2571 0.4848  1 Cl 1.61
N 0.9960 0.7436 0.7561  2 Pt 1.83-1.87
Cl 0.3027 0.7400 0.3024  1 N 1.61
Cl 0.3197 0.2324 0.9689  1 Pt 2.36
Cl 0.6803 0.7676 0.0311  1 Pt 2.36
Cl 0.6973 0.2600 0.6976  1 N 1.61

Calculated values
For the total energy, the calculation gives -4.4281 eV per atom. The calculation puts the formation energy from the elements at 0.61 eV per atom. As for the polymorph energy (0 for the lowest one): 0.00 kcal/mol of atoms. As for the total magnetic moment: 1.80 Bohr magnetons per cell.

2.
Material: PtN2Cl2
Method: DFT, PBE
State: optimized geometry

Cell: 6.6606 4.4111 8.7856 Å, 90.00 102.40 90.00°
With the nearest neighbours (Å) after each atom.
Positions (direct):
Pt 0.0000 0.0000 0.0000  2 N 1.88
Pt 0.0000 0.5000 0.5000  2 N 1.88
N 0.2239 0.2456 0.0942  1 Cl 1.66
N 0.2239 0.2544 0.5942  1 Cl 1.66
N 0.7761 0.7456 0.4058  1 Cl 1.66
N 0.7761 0.7544 0.9058  1 Cl 1.66
Cl 0.2558 0.6180 0.1031  1 N 1.66
Cl 0.2558 0.8820 0.6031  1 N 1.66
Cl 0.7442 0.1180 0.3969  1 N 1.66
Cl 0.7442 0.3820 0.8969  1 N 1.66

Calculated values
For the total energy, the calculation gives -4.3073 eV per atom. The calculation puts the formation energy from the elements at 0.74 eV per atom. As for the polymorph energy (0 for the lowest one): 2.79 kcal/mol of atoms. As for the total magnetic moment: 0.00 Bohr magnetons per cell.

3.
Material: PtN2Cl2
Method: DFT, PBE
State: optimized geometry

Cell: 5.2091 9.2015 9.4254 Å, 90.00 90.00 90.00°
With the nearest neighbours (Å) after each atom.
Positions (direct):
Pt 0.0000 0.2491 0.0000  4 Cl 2.31
Pt 0.0000 0.7496 0.5061  4 N 1.86-2.01
Pt 0.5000 0.2504 0.0061  4 N 1.86-2.01
Pt 0.5000 0.7509 0.5000  4 Cl 2.31
N 0.0000 0.5334 0.4773  1 Pt 2.01
N 0.0000 0.7398 0.7035  1 Pt 1.86
N 0.0000 0.7590 0.2956  1 Pt 1.99
N 0.0000 0.9679 0.4963  1 Pt 2.01
N 0.5000 0.0321 0.9963  1 Pt 2.01
N 0.5000 0.2410 0.7956  1 Pt 1.99
N 0.5000 0.2602 0.2035  1 Pt 1.86
N 0.5000 0.4666 0.9773  1 Pt 2.01
Cl 0.0000 0.2388 0.7546  1 Pt 2.31
Cl 0.0000 0.2597 0.2452  1 Pt 2.31
Cl 0.0000 0.4999 0.9869  1 Pt 2.31
Cl 0.0000 0.9980 0.0060  1 Pt 2.31
Cl 0.5000 0.0020 0.5060  1 Pt 2.31
Cl 0.5000 0.5001 0.4869  1 Pt 2.31
Cl 0.5000 0.7403 0.7452  1 Pt 2.31
Cl 0.5000 0.7612 0.2546  1 Pt 2.31

Calculated values
For the total energy, the calculation gives -3.8453 eV per atom. The calculation puts the formation energy from the elements at 1.20 eV per atom. As for the polymorph energy (0 for the lowest one): 13.44 kcal/mol of atoms. As for the total magnetic moment: 8.01 Bohr magnetons per cell.

4.
Material: PtN2Cl2
Method: DFT, PBE
State: optimized geometry

Cell: 5.7822 6.6282 7.1434 Å, 108.95 92.03 90.81°
With the nearest neighbours (Å) after each atom.
Positions (direct):
Pt 0.0205 0.0114 0.2502  2 N 1.77-1.78
Pt 0.9795 0.9886 0.7498  2 N 1.77-1.78
N 0.1075 0.2831 0.3178  1 Pt 1.77
N 0.2480 0.8254 0.2018  1 Pt 1.78
N 0.7520 0.1746 0.7982  1 Pt 1.78
N 0.8925 0.7169 0.6822  1 Pt 1.77
Cl 0.2071 0.3058 0.8197  1 Pt 2.37
Cl 0.3413 0.8065 0.7025  1 Pt 2.41, 1 N 2.64
Cl 0.6587 0.1935 0.2975  1 Pt 2.41, 1 N 2.64
Cl 0.7929 0.6942 0.1803  1 Pt 2.37

Calculated values
For the total energy, the calculation gives -3.9540 eV per atom. The calculation puts the formation energy from the elements at 1.09 eV per atom. As for the polymorph energy (0 for the lowest one): 10.93 kcal/mol of atoms. As for the total magnetic moment: 4.01 Bohr magnetons per cell.

5.
Material: PtN2Cl2
Method: DFT, PBE
State: optimized geometry

Cell: 6.0140 6.1983 7.3240 Å, 114.33 102.71 97.42°
With the nearest neighbours (Å) after each atom.
Positions (direct):
Pt 0.0000 0.0000 0.0000  2 N 1.75
Pt 0.0000 0.0000 0.5000  4 N 1.91-1.96
N 0.0040 0.0125 0.2439  2 Pt 1.75-1.91
N 0.2696 0.2278 0.5152  1 Pt 1.96, 1 N 2.04
N 0.7304 0.7722 0.4848  1 Pt 1.96, 1 N 2.04
N 0.9960 0.9875 0.7561  2 Pt 1.75-1.91
Cl 0.3027 0.4376 0.3024  1 Cl 2.26, 1 N 2.43
Cl 0.3197 0.2635 0.9689  1 N 2.18, 1 Cl 2.26
Cl 0.6803 0.7365 0.0311  1 N 2.18, 1 Cl 2.26
Cl 0.6973 0.5624 0.6976  1 Cl 2.26, 1 N 2.43

Calculated values
For the total energy, the calculation gives -3.5678 eV per atom. The calculation puts the formation energy from the elements at 1.47 eV per atom. As for the polymorph energy (0 for the lowest one): 19.84 kcal/mol of atoms. As for the total magnetic moment: 0.08 Bohr magnetons per cell.

6.
Material: PtN2Cl2
Method: DFT, PBE
State: optimized geometry

Cell: 5.3728 5.6823 7.3999 Å, 90.00 98.71 90.00°
With the nearest neighbours (Å) after each atom.
Positions (direct):
Pt 0.0000 0.0000 0.0000  2 N 1.81
Pt 0.0000 0.5000 0.5000  2 N 1.81
N 0.2162 0.1625 0.1666  1 Pt 1.81
N 0.2162 0.3375 0.6666  1 Pt 1.81
N 0.7838 0.6625 0.3334  1 Pt 1.81
N 0.7838 0.8375 0.8334  1 Pt 1.81
Cl 0.2874 0.6862 0.0231  1 Pt 2.35
Cl 0.2874 0.8138 0.5231  1 Pt 2.35
Cl 0.7126 0.1862 0.4769  1 Pt 2.35
Cl 0.7126 0.3138 0.9769  1 Pt 2.35

Calculated values
For the total energy, the calculation gives -3.8241 eV per atom. The calculation puts the formation energy from the elements at 1.22 eV per atom. As for the polymorph energy (0 for the lowest one): 13.93 kcal/mol of atoms. As for the total magnetic moment: 3.99 Bohr magnetons per cell.

7.
Material: RePtN4Cl6
Method: DFT, PBE
State: optimized geometry

Cell: 7.7951 7.7951 10.0004 Å, 90.00 90.00 87.28°
With the nearest neighbours (Å) after each atom.
Positions (direct):
Re 0.0000 0.0000 0.0000  6 Cl 2.29-2.30
Re 0.5000 0.5000 0.5000  6 Cl 2.29-2.30
Pt 0.0000 0.0000 0.5000  4 N 1.89
Pt 0.5000 0.5000 0.0000  4 N 1.89
N 0.0189 0.2177 0.4207  1 Pt 1.89
N 0.2177 0.0189 0.5793  1 Pt 1.89
N 0.2823 0.4811 0.0793  1 Pt 1.89
N 0.4811 0.2823 0.9207  1 Pt 1.89
N 0.5189 0.7177 0.0793  1 Pt 1.89
N 0.7177 0.5189 0.9207  1 Pt 1.89
N 0.7823 0.9811 0.4207  1 Pt 1.89
N 0.9811 0.7823 0.5793  1 Pt 1.89
Cl 0.0651 0.2234 0.8635  1 Re 2.29
Cl 0.1814 0.8186 0.8786  1 Re 2.30
Cl 0.2234 0.0651 0.1365  1 Re 2.29
Cl 0.2766 0.4349 0.6365  1 Re 2.29
Cl 0.3186 0.6814 0.3786  1 Re 2.30
Cl 0.4349 0.2766 0.3635  1 Re 2.29
Cl 0.5651 0.7234 0.6365  1 Re 2.29
Cl 0.6814 0.3186 0.6214  1 Re 2.30
Cl 0.7234 0.5651 0.3635  1 Re 2.29
Cl 0.7766 0.9349 0.8635  1 Re 2.29
Cl 0.8186 0.1814 0.1214  1 Re 2.30
Cl 0.9349 0.7766 0.1365  1 Re 2.29

Calculated values
For the total energy, the calculation gives -4.1746 eV per atom. The calculation puts the formation energy from the elements at 0.76 eV per atom. As for the total magnetic moment: 6.00 Bohr magnetons per cell.

8.
Material: PtRh2N10Cl10
Method: DFT, PBE
State: optimized geometry

Cell: 6.7646 6.7646 10.9050 Å, 93.69 93.69 73.79°
With the nearest neighbours (Å) after each atom.
Positions (direct):
Pt 0.0000 0.0000 0.0000  6 Cl 2.33
Rh 0.3318 0.3318 0.7057  3 N 1.85-1.92
Rh 0.6682 0.6682 0.2943  3 N 1.85-1.92
N 0.1153 0.4385 0.8082  1 Rh 1.85
N 0.1978 0.5612 0.5708  1 Rh 2.18
N 0.4385 0.1153 0.8082  1 Rh 1.85
N 0.4388 0.8022 0.4292  1 Rh 2.18
N 0.4946 0.4946 0.2429  1 Cl 1.59
N 0.5054 0.5054 0.7571  1 Cl 1.59
N 0.5612 0.1978 0.5708  1 Rh 2.18
N 0.5615 0.8847 0.1918  1 Rh 1.85
N 0.8022 0.4388 0.4292  1 Rh 2.18
N 0.8847 0.5615 0.1918  1 Rh 1.85
Cl 0.0449 0.0449 0.2128  1 Pt 2.33
Cl 0.1536 0.1536 0.5679  1 Rh 2.35
Cl 0.2125 0.2125 0.9775  1 Pt 2.33, 2 N 2.41
Cl 0.2870 0.7130 0.0000  1 Pt 2.33
Cl 0.3872 0.3872 0.3346  1 N 1.59
Cl 0.6128 0.6128 0.6654  1 N 1.59
Cl 0.7130 0.2870 0.0000  1 Pt 2.33
Cl 0.7875 0.7875 0.0225  1 Pt 2.33, 2 N 2.41
Cl 0.8464 0.8464 0.4321  1 Rh 2.35
Cl 0.9551 0.9551 0.7872  1 Pt 2.33

Calculated values
For the total energy, the calculation gives -3.8116 eV per atom. The calculation puts the formation energy from the elements at 1.25 eV per atom. As for the total magnetic moment: 13.90 Bohr magnetons per cell.